Crystalline Zr6BCl14 at its relaxed geometry, computed with PBE.

Results
- Calculated volume: 26.3 Å³/atom
- Total energy after the MP2020 corrections: -0.451 Ry per atom
- Theoretical density: 3.17 g cm⁻³
- ΔE_f: -2146 meV/atom

Unit cell a=9.738 b=9.738 c=11.722 alpha=90.00 beta=90.00 gamma=96.23
Element x y z (fractional)
Zr  0.547  0.312  0.117
Zr  0.148  0.148  0.392
Zr  0.453  0.688  0.883
Zr  0.188  0.953  0.617
Zr  0.047  0.812  0.383
Zr  0.688  0.453  0.883
Zr  0.852  0.852  0.608
Zr  0.953  0.188  0.617
Zr  0.352  0.352  0.892
Zr  0.312  0.547  0.117
Zr  0.648  0.648  0.108
Zr  0.812  0.047  0.383
B  0.000  0.000  0.500
B  0.500  0.500  0.000
Cl  0.465  0.707  0.248
Cl  0.158  0.158  0.759
Cl  0.882  0.637  0.492
Cl  0.363  0.118  0.508
Cl  0.103  0.603  0.250
Cl  0.535  0.293  0.752
Cl  0.637  0.882  0.492
Cl  0.793  0.035  0.748
Cl  0.897  0.397  0.750
Cl  0.249  0.751  0.500
Cl  0.293  0.535  0.752
Cl  0.118  0.363  0.508
Cl  0.658  0.658  0.741
Cl  0.603  0.103  0.250
Cl  0.965  0.207  0.252
Cl  0.342  0.342  0.259
Cl  0.382  0.137  0.008
Cl  0.707  0.465  0.248
Cl  0.618  0.863  0.992
Cl  0.749  0.251  0.000
Cl  0.137  0.382  0.008
Cl  0.863  0.618  0.992
Cl  0.397  0.897  0.750
Cl  0.751  0.249  0.500
Cl  0.251  0.749  0.000
Cl  0.035  0.793  0.748
Cl  0.842  0.842  0.241
Cl  0.207  0.965  0.252